# 1
Compound: KNaZrSi3H4O11
Source: the Materials Project database
Functional: r²SCAN
Structure: optimized geometry

## Properties
Its formation energy from the elements is -2490 meV/atom. For the total moment, the calculation gives 0.000 μB per formula unit. The total energy comes out at -761.82 eV for the cell shown.

Cell lengths 13.001, 6.739, 11.755 Å; angles 90.00, 90.00, 90.00 degrees
Sites, in units of the cell vectors:
K: 0.148 0.090 0.000
K: 0.352 0.590 0.500
K: 0.648 0.410 0.000
K: 0.852 0.910 0.500
Na: 0.106 0.671 0.748
Na: 0.394 0.171 0.248
Na: 0.606 0.829 0.748
Na: 0.894 0.329 0.248
Zr: 0.054 0.353 0.499
Zr: 0.446 0.853 0.999
Zr: 0.554 0.147 0.499
Zr: 0.946 0.647 0.999
Si: 0.084 0.611 0.247
Si: 0.111 0.855 0.463
Si: 0.212 0.614 0.029
Si: 0.288 0.114 0.529
Si: 0.389 0.355 0.963
Si: 0.416 0.111 0.747
Si: 0.584 0.889 0.247
Si: 0.611 0.645 0.463
Si: 0.712 0.886 0.029
Si: 0.788 0.386 0.529
Si: 0.889 0.145 0.963
Si: 0.916 0.389 0.747
H: 0.083 0.121 0.734
H: 0.168 0.234 0.264
H: 0.183 0.007 0.261
H: 0.195 0.044 0.733
H: 0.305 0.544 0.233
H: 0.317 0.507 0.761
H: 0.332 0.734 0.764
H: 0.417 0.621 0.234
H: 0.583 0.379 0.734
H: 0.668 0.266 0.264
H: 0.683 0.493 0.261
H: 0.695 0.456 0.733
H: 0.805 0.956 0.233
H: 0.817 0.993 0.761
H: 0.832 0.766 0.764
H: 0.917 0.879 0.234
O: 0.018 0.345 0.673
O: 0.042 0.048 0.485
O: 0.072 0.414 0.324
O: 0.074 0.660 0.531
O: 0.105 0.637 0.962
O: 0.110 0.805 0.326
O: 0.127 0.018 0.766
O: 0.185 0.583 0.165
O: 0.210 0.298 0.517
O: 0.212 0.131 0.232
O: 0.231 0.907 0.492
O: 0.269 0.407 0.992
O: 0.288 0.631 0.732
O: 0.290 0.798 0.017
O: 0.315 0.083 0.665
O: 0.373 0.518 0.266
O: 0.390 0.305 0.826
O: 0.395 0.137 0.462
O: 0.426 0.160 0.031
O: 0.428 0.914 0.824
O: 0.458 0.548 0.985
O: 0.482 0.845 0.173
O: 0.518 0.155 0.673
O: 0.542 0.452 0.485
O: 0.572 0.086 0.324
O: 0.574 0.840 0.531
O: 0.605 0.863 0.962
O: 0.610 0.695 0.326
O: 0.627 0.482 0.766
O: 0.685 0.917 0.165
O: 0.710 0.202 0.517
O: 0.712 0.369 0.232
O: 0.731 0.593 0.492
O: 0.769 0.093 0.992
O: 0.788 0.869 0.732
O: 0.790 0.702 0.017
O: 0.815 0.417 0.665
O: 0.873 0.982 0.266
O: 0.890 0.195 0.826
O: 0.895 0.363 0.462
O: 0.926 0.340 0.031
O: 0.928 0.586 0.824
O: 0.958 0.952 0.985
O: 0.982 0.655 0.173

# 2
Compound: KH9O5
Source: the Materials Project database
Functional: r²SCAN
Structure: optimized geometry

## Properties
Its formation energy from the elements is -1159 meV/atom. For the total moment, the calculation gives 0.000 μB per formula unit. The total energy comes out at -337.42 eV for the cell shown.

Cell lengths 6.936, 10.948, 7.069 Å; angles 90.00, 97.83, 90.00 degrees
Sites, in units of the cell vectors:
K: 0.084 0.159 0.146
K: 0.084 0.341 0.646
K: 0.916 0.659 0.354
K: 0.916 0.841 0.854
H: 0.034 0.603 0.845
H: 0.034 0.897 0.345
H: 0.173 0.053 0.738
H: 0.173 0.447 0.238
H: 0.245 0.740 0.046
H: 0.245 0.760 0.546
H: 0.251 0.603 0.111
H: 0.251 0.897 0.611
H: 0.378 0.114 0.571
H: 0.378 0.386 0.071
H: 0.398 0.589 0.402
H: 0.398 0.911 0.902
H: 0.441 0.240 0.483
H: 0.441 0.260 0.983
H: 0.455 0.588 0.628
H: 0.455 0.912 0.128
H: 0.485 0.049 0.341
H: 0.485 0.451 0.841
H: 0.515 0.549 0.159
H: 0.515 0.951 0.659
H: 0.545 0.088 0.872
H: 0.545 0.412 0.372
H: 0.559 0.740 0.017
H: 0.559 0.760 0.517
H: 0.602 0.089 0.098
H: 0.602 0.411 0.598
H: 0.622 0.614 0.929
H: 0.622 0.886 0.429
H: 0.749 0.103 0.389
H: 0.749 0.397 0.889
H: 0.755 0.240 0.454
H: 0.755 0.260 0.954
H: 0.827 0.553 0.762
H: 0.827 0.947 0.262
H: 0.966 0.103 0.655
H: 0.966 0.397 0.155
O: 0.046 0.075 0.773
O: 0.046 0.425 0.273
O: 0.160 0.667 0.055
O: 0.160 0.833 0.555
O: 0.340 0.177 0.470
O: 0.340 0.323 0.970
O: 0.391 0.639 0.520
O: 0.391 0.861 0.020
O: 0.420 0.503 0.218
O: 0.420 0.997 0.718
O: 0.580 0.003 0.282
O: 0.580 0.497 0.782
O: 0.609 0.139 0.980
O: 0.609 0.361 0.480
O: 0.660 0.677 0.030
O: 0.660 0.823 0.530
O: 0.840 0.167 0.445
O: 0.840 0.333 0.945
O: 0.954 0.575 0.727
O: 0.954 0.925 0.227

Question: What is the formula in the first record?
Answer: KNaZrSi3H4O11

Question: What is the total moment in the second record?
Answer: 0.000 μB per formula unit